Compound: Na3YAlP3O12
Source: the Materials Project database
Functional: PBE
Structure: optimized geometry

Summary:
Space-group type: P1 (1)
Energy of formation from the pure elements, eV per atom: -2.97
Total magnetization, Bohr magnetons per cell: 0.01
Calculated total energy, eV per atom: -7.044
Relative energy among the computed polymorphs, kJ per mole of atoms: 0.00

abc: 8.918 8.957 22.206
angles: 89.97 89.99 60.31
Sites, in units of the cell vectors:
Na 0.000 0.000 0.000
Na 0.001 0.353 0.251
Na 0.008 0.348 0.753
Na 0.033 0.017 0.335
Na 0.034 0.654 0.843
Na 0.293 0.397 0.335
Na 0.334 0.687 0.413
Na 0.336 0.329 0.668
Na 0.336 0.678 0.925
Na 0.365 0.994 0.491
Na 0.617 0.048 0.084
Na 0.647 0.345 0.489
Na 0.650 0.706 0.999
Na 0.669 0.372 0.844
Na 0.693 0.971 0.580
Na 0.698 0.332 0.166
Na 0.971 0.684 0.168
Na 0.976 0.045 0.668
Y 0.018 0.340 0.095
Y 0.332 0.685 0.559
Y 0.341 0.697 0.774
Y 0.345 0.690 0.271
Y 0.659 0.014 0.740
Y 0.988 0.371 0.595
Al 0.010 0.347 0.906
Al 0.338 0.681 0.068
Al 0.663 0.015 0.230
Al 0.664 0.022 0.935
Al 0.671 0.015 0.429
Al 0.995 0.362 0.393
P 0.004 0.662 0.001
P 0.032 0.687 0.674
P 0.032 0.976 0.167
P 0.307 0.343 0.489
P 0.311 0.047 0.999
P 0.336 0.993 0.658
P 0.349 0.388 0.170
P 0.361 0.308 0.839
P 0.375 0.038 0.334
P 0.623 0.702 0.160
P 0.640 0.381 0.668
P 0.683 0.292 0.332
P 0.690 0.704 0.847
P 0.691 0.352 0.001
P 0.710 0.659 0.488
P 0.938 0.728 0.330
P 0.960 0.035 0.843
P 0.991 0.062 0.488
O 0.000 0.162 0.162
O 0.007 0.168 0.436
O 0.026 0.519 0.671
O 0.029 0.539 0.948
O 0.119 0.683 0.735
O 0.123 0.710 0.332
O 0.128 0.902 0.226
O 0.137 0.860 0.112
O 0.137 0.867 0.844
O 0.139 0.696 0.621
O 0.162 0.889 0.489
O 0.167 0.159 0.953
O 0.171 0.171 0.664
O 0.171 0.674 0.011
O 0.179 0.335 0.851
O 0.184 0.376 0.161
O 0.189 0.202 0.334
O 0.189 0.356 0.435
O 0.227 0.329 0.549
O 0.263 0.139 0.060
O 0.316 0.870 0.003
O 0.318 0.482 0.231
O 0.326 0.886 0.712
O 0.334 0.501 0.488
O 0.338 0.910 0.597
O 0.343 0.882 0.336
O 0.351 0.488 0.843
O 0.375 0.493 0.119
O 0.410 0.238 0.774
O 0.473 0.046 0.278
O 0.474 0.031 0.391
O 0.491 0.181 0.487
O 0.495 0.015 0.662
O 0.495 0.015 0.984
O 0.502 0.183 0.882
O 0.515 0.719 0.103
O 0.516 0.210 0.173
O 0.517 0.471 0.333
O 0.518 0.522 0.010
O 0.529 0.681 0.847
O 0.530 0.670 0.488
O 0.543 0.475 0.610
O 0.544 0.477 0.726
O 0.548 0.655 0.214
O 0.632 0.869 0.170
O 0.652 0.202 0.667
O 0.661 0.199 0.986
O 0.668 0.200 0.389
O 0.678 0.845 0.481
O 0.682 0.819 0.899
O 0.705 0.183 0.275
O 0.712 0.777 0.787
O 0.792 0.386 0.950
O 0.792 0.599 0.551
O 0.803 0.299 0.059
O 0.809 0.545 0.156
O 0.820 0.528 0.440
O 0.824 0.354 0.670
O 0.834 0.034 0.483
O 0.838 0.846 0.382
O 0.844 0.808 0.270
O 0.845 0.316 0.336
O 0.850 0.017 0.893
O 0.850 0.849 0.991
O 0.852 0.522 0.852
O 0.853 0.983 0.169
O 0.855 0.851 0.669
O 0.866 0.061 0.781
O 0.955 0.596 0.058
O 0.962 0.162 0.549
O 0.971 0.540 0.336
O 0.976 0.196 0.852